1.
# PBE-GGA MgGaAu2, relaxed
# Calculated volume, Å³/atom: 18.8
# Final energy, eV per atom: -3.2237
# Symmetry: P6_3/mmc (194)
# Formation energy from the elements, meV/atom: -429.7
data_MgGaAu2
_cell_length_a 4.4649
_cell_length_b 4.4649
_cell_length_c 8.6958
_cell_angle_alpha 90.00
_cell_angle_beta 90.00
_cell_angle_gamma 120.00
_space_group_name_H-M_alt 'P 1'
_space_group_IT_number 1
loop_
_space_group_symop_operation_xyz
'x,y,z'
loop_
_atom_site_label
_atom_site_type_symbol
_atom_site_fract_x
_atom_site_fract_y
_atom_site_fract_z
_atom_site_occupancy
Mg1 Mg 0.3333 0.6667 0.2500 1
Mg2 Mg 0.6667 0.3333 0.7500 1
Ga1 Ga 0.0000 0.0000 0.0000 1
Ga2 Ga 0.0000 0.0000 0.5000 1
Au1 Au 0.3333 0.6667 0.5895 1
Au2 Au 0.3333 0.6667 0.9105 1
Au3 Au 0.6667 0.3333 0.0895 1
Au4 Au 0.6667 0.3333 0.4105 1

---

2.
# PBE-GGA Na3ScSi3Sn3S3O24, relaxed
# Calculated volume, Å³/atom: 14.2
# Final energy, eV per atom: -6.5504
# Symmetry: P1 (1)
# Formation energy from the elements, meV/atom: -2407.8
# E (MP2020), eV/atom: -6.996
data_Na3ScSi3Sn3S3O24
_cell_length_a 8.8791
_cell_length_b 8.8939
_cell_length_c 23.0233
_cell_angle_alpha 90.25
_cell_angle_beta 90.03
_cell_angle_gamma 119.84
_space_group_name_H-M_alt 'P 1'
_space_group_IT_number 1
loop_
_space_group_symop_operation_xyz
'x,y,z'
loop_
_atom_site_label
_atom_site_type_symbol
_atom_site_fract_x
_atom_site_fract_y
_atom_site_fract_z
_atom_site_occupancy
Na1 Na 0.0000 0.0000 0.0000 1
Na2 Na 0.0089 0.9955 0.5051 1
Na3 Na 0.0325 0.3531 0.5924 1
Na4 Na 0.2955 0.3393 0.0817 1
Na5 Na 0.3135 0.6613 0.6692 1
Na6 Na 0.3352 0.6881 0.1690 1
Na7 Na 0.3659 0.0204 0.2550 1
Na8 Na 0.6474 0.3299 0.3350 1
Na9 Na 0.6644 0.3507 0.8420 1
Sc1 Sc 0.3071 0.6825 0.0194 1
Sc2 Sc 0.3139 0.6813 0.5252 1
Sc3 Sc 0.6452 0.3249 0.1929 1
Si1 Si 0.0186 0.6737 0.9202 1
Si2 Si 0.2833 0.3098 0.2544 1
Si3 Si 0.3221 0.9700 0.4203 1
Si4 Si 0.3235 0.3841 0.9241 1
Si5 Si 0.3587 0.0411 0.0897 1
Si6 Si 0.3649 0.3442 0.5896 1
Si7 Si 0.7040 0.0078 0.2552 1
Si8 Si 0.9402 0.6323 0.5865 1
Si9 Si 0.9815 0.2950 0.7527 1
Sn1 Sn 0.0006 0.0090 0.6518 1
Sn2 Sn 0.0014 0.0186 0.3557 1
Sn3 Sn 0.2963 0.6450 0.8220 1
Sn4 Sn 0.3367 0.6841 0.3187 1
Sn5 Sn 0.6390 0.3383 0.4860 1
Sn6 Sn 0.6438 0.3412 0.9839 1
Sn7 Sn 0.6643 0.3517 0.6897 1
Sn8 Sn 0.9927 0.0164 0.1540 1
Sn9 Sn 0.9955 0.0210 0.8596 1
S1 S 0.0265 0.3826 0.4218 1
S2 S 0.2875 0.0054 0.7552 1
S3 S 0.6086 0.9618 0.9193 1
S4 S 0.6192 0.6769 0.4216 1
S5 S 0.6546 0.0489 0.5882 1
S6 S 0.6616 0.6380 0.0893 1
S7 S 0.6955 0.7209 0.7554 1
S8 S 0.9428 0.3399 0.0878 1
S9 S 0.9863 0.7140 0.2550 1
O1 O 0.0067 0.2057 0.4175 1
O2 O 0.0088 0.2106 0.6927 1
O3 O 0.0252 0.8278 0.2030 1
O4 O 0.0978 0.6428 0.8597 1
O5 O 0.1095 0.4862 0.3690 1
O6 O 0.1221 0.4893 0.0835 1
O7 O 0.1301 0.4601 0.4746 1
O8 O 0.1320 0.6526 0.5813 1
O9 O 0.1424 0.7168 0.9762 1
O10 O 0.1419 0.9836 0.4165 1
O11 O 0.1437 0.1956 0.9183 1
O12 O 0.1481 0.7029 0.2611 1
O13 O 0.1589 0.4883 0.7554 1
O14 O 0.1642 0.0330 0.0926 1
O15 O 0.1644 0.1747 0.5929 1
O16 O 0.1718 0.2333 0.1937 1
O17 O 0.1783 0.9686 0.7018 1
O18 O 0.2046 0.0319 0.8066 1
O19 O 0.2047 0.1731 0.3086 1
O20 O 0.2849 0.4925 0.2641 1
O21 O 0.2995 0.8516 0.4755 1
O22 O 0.3020 0.4693 0.9833 1
O23 O 0.3132 0.8533 0.7614 1
O24 O 0.3412 0.5125 0.5829 1
O25 O 0.3418 0.8528 0.0844 1
O26 O 0.3457 0.8869 0.3586 1
O27 O 0.3671 0.5012 0.8645 1
O28 O 0.4360 0.2943 0.5317 1
O29 O 0.4467 0.1765 0.0341 1
O30 O 0.4576 0.1655 0.7486 1
O31 O 0.4653 0.1328 0.1487 1
O32 O 0.4750 0.3305 0.2494 1
O33 O 0.4772 0.3659 0.6488 1
O34 O 0.4913 0.3537 0.9235 1
O35 O 0.5011 0.1639 0.4237 1
O36 O 0.5010 0.6483 0.0836 1
O37 O 0.5019 0.8423 0.2577 1
O38 O 0.5041 0.8767 0.5812 1
O39 O 0.5043 0.8855 0.8653 1
O40 O 0.5126 0.6440 0.3675 1
O41 O 0.5233 0.7105 0.7600 1
O42 O 0.5295 0.8595 0.9710 1
O43 O 0.5341 0.6945 0.4729 1
O44 O 0.6237 0.1254 0.6411 1
O45 O 0.6335 0.1400 0.9248 1
O46 O 0.6424 0.5212 0.4238 1
O47 O 0.6417 0.5307 0.1399 1
O48 O 0.6727 0.5427 0.7512 1
O49 O 0.6835 0.1792 0.2515 1
O50 O 0.6919 0.1614 0.5363 1
O51 O 0.6933 0.5643 0.0350 1
O52 O 0.7769 0.8207 0.7015 1
O53 O 0.7816 0.9635 0.1972 1
O54 O 0.7825 0.9765 0.9144 1
O55 O 0.7916 0.8355 0.4158 1
O56 O 0.8037 0.3116 0.7498 1
O57 O 0.8050 0.7999 0.8071 1
O58 O 0.8134 0.0285 0.3146 1
O59 O 0.8150 0.0364 0.5943 1
O60 O 0.8173 0.8150 0.0935 1
O61 O 0.8253 0.5434 0.5276 1
O62 O 0.8344 0.4920 0.9290 1
O63 O 0.8363 0.5435 0.2467 1
O64 O 0.8401 0.3178 0.0341 1
O65 O 0.8509 0.3651 0.4259 1
O66 O 0.8625 0.3621 0.1393 1
O67 O 0.8695 0.5057 0.6434 1
O68 O 0.9491 0.8197 0.5951 1
O69 O 0.9520 0.1734 0.8087 1
O70 O 0.9557 0.7898 0.3080 1
O71 O 0.9589 0.1783 0.0901 1
O72 O 0.9899 0.8416 0.9119 1

---

3.
# PBE-GGA K2ThAs2O8, relaxed
# Calculated volume, Å³/atom: 15.9
# Final energy, eV per atom: -6.6160
# Symmetry: P2_1/c (14)
# Formation energy from the elements, meV/atom: -2536.0
# E (MP2020), eV/atom: -7.039
data_K2ThAs2O8
_cell_length_a 7.9129
_cell_length_b 11.5775
_cell_length_c 10.0952
_cell_angle_alpha 90.00
_cell_angle_beta 116.52
_cell_angle_gamma 90.00
_space_group_name_H-M_alt 'P 1'
_space_group_IT_number 1
loop_
_space_group_symop_operation_xyz
'x,y,z'
loop_
_atom_site_label
_atom_site_type_symbol
_atom_site_fract_x
_atom_site_fract_y
_atom_site_fract_z
_atom_site_occupancy
K1 K 0.1459 0.1257 0.0437 1
K2 K 0.1459 0.3743 0.5437 1
K3 K 0.3362 0.1197 0.4517 1
K4 K 0.3362 0.3803 0.9517 1
K5 K 0.6638 0.6197 0.0483 1
K6 K 0.6638 0.8803 0.5483 1
K7 K 0.8541 0.6257 0.4563 1
K8 K 0.8541 0.8743 0.9563 1
Th1 Th 0.2559 0.6368 0.2814 1
Th2 Th 0.2559 0.8632 0.7814 1
Th3 Th 0.7441 0.1368 0.2186 1
Th4 Th 0.7441 0.3632 0.7186 1
As1 As 0.0643 0.6386 0.8547 1
As2 As 0.0643 0.8614 0.3547 1
As3 As 0.4657 0.6319 0.6411 1
As4 As 0.4657 0.8681 0.1411 1
As5 As 0.5343 0.1319 0.8589 1
As6 As 0.5343 0.3681 0.3589 1
As7 As 0.9357 0.1386 0.6453 1
As8 As 0.9357 0.3614 0.1453 1
O1 O 0.0289 0.0142 0.7440 1
O2 O 0.0289 0.4858 0.2440 1
O3 O 0.0394 0.2393 0.2489 1
O4 O 0.0394 0.2607 0.7489 1
O5 O 0.0526 0.6411 0.0209 1
O6 O 0.0526 0.8589 0.5209 1
O7 O 0.2315 0.6054 0.5220 1
O8 O 0.2315 0.8946 0.0220 1
O9 O 0.2921 0.6575 0.8782 1
O10 O 0.2921 0.8425 0.3782 1
O11 O 0.4257 0.0200 0.7363 1
O12 O 0.4257 0.4800 0.2363 1
O13 O 0.4456 0.1392 0.9874 1
O14 O 0.4456 0.3608 0.4874 1
O15 O 0.4952 0.7388 0.2335 1
O16 O 0.4952 0.7612 0.7335 1
O17 O 0.5048 0.2388 0.2665 1
O18 O 0.5048 0.2612 0.7665 1
O19 O 0.5544 0.6392 0.5126 1
O20 O 0.5544 0.8608 0.0126 1
O21 O 0.5743 0.5200 0.7637 1
O22 O 0.5743 0.9800 0.2637 1
O23 O 0.7079 0.1575 0.6218 1
O24 O 0.7079 0.3425 0.1218 1
O25 O 0.7685 0.1054 0.9780 1
O26 O 0.7685 0.3946 0.4780 1
O27 O 0.9474 0.1411 0.4791 1
O28 O 0.9474 0.3589 0.9791 1
O29 O 0.9606 0.7393 0.2511 1
O30 O 0.9606 0.7607 0.7511 1
O31 O 0.9711 0.5142 0.7560 1
O32 O 0.9711 0.9858 0.2560 1